Entry 1:
The following is a PBE-GGA calculation of Ta2SiAs2 after structural relaxation, from the Materials Project.

E_tot: -35.7 eV for the cell shown
Energy of formation: 0.55 eV per atom
Magnetization: 0.00 μB/f.u.

The structure in POSCAR format:
```
Ta2SiAs2
1.0
2.723 0.000 0.000
0.000 2.723 0.000
0.000 0.000 13.421
Ta Si As
2 1 2
Direct
0.000 0.000 0.189
0.000 0.000 0.811
0.000 0.000 0.000
0.000 0.000 0.394
0.000 0.000 0.606
```

***

Entry 2:
The following is a PBE-GGA calculation of Zr2SiTe2As after structural relaxation, from the Materials Project.

E_tot: -38.5 eV for the cell shown
Energy of formation: -0.84 eV per atom
Magnetization: 0.00 μB/f.u.

The structure in POSCAR format:
```
Zr2SiTe2As
1.0
3.753 0.000 0.000
0.000 3.753 0.000
0.000 0.000 10.277
Zr Si Te As
2 1 2 1
Direct
0.000 0.500 0.204
0.500 0.000 0.796
0.500 0.500 0.000
0.000 0.500 0.660
0.500 0.000 0.340
0.000 0.000 0.000
```

***

Entry 3:
The following is a PBE-GGA calculation of ZrSiAs after structural relaxation, from the Materials Project.

E_tot: -83.2 eV for the cell shown
Energy of formation: -0.72 eV per atom
Magnetization: 0.00 μB/f.u.

The structure in POSCAR format:
```
ZrSiAs
1.0
6.529 0.000 0.000
0.000 3.593 0.000
0.000 0.000 9.364
Zr Si As
4 4 4
Direct
0.227 0.250 0.163
0.273 0.750 0.663
0.727 0.250 0.337
0.773 0.750 0.837
0.117 0.250 0.460
0.383 0.750 0.960
0.617 0.250 0.040
0.883 0.750 0.540
0.114 0.250 0.861
0.386 0.750 0.361
0.614 0.250 0.639
0.886 0.750 0.139
```

***

Entry 4:
The following is a PBE-GGA calculation of Sm4As3 after structural relaxation, from the Materials Project.

E_tot: -83.5 eV for the cell shown
Energy of formation: -1.27 eV per atom

The structure in POSCAR format:
```
Sm4As3
1.0
-4.452 4.452 4.452
4.452 -4.452 4.452
4.452 4.452 -4.452
Sm As
8 6
Direct
0.000 0.135 0.500
0.000 0.635 0.500
0.135 0.500 0.000
0.365 0.365 0.365
0.500 0.000 0.135
0.500 0.000 0.635
0.635 0.500 0.000
0.865 0.865 0.865
0.125 0.875 0.250
0.250 0.125 0.875
0.375 0.625 0.750
0.625 0.750 0.375
0.750 0.375 0.625
0.875 0.250 0.125
```

***

Entry 5:
The following is a PBE-GGA calculation of SmAs after structural relaxation, from the Materials Project.

E_tot: -12.4 eV for the cell shown
Energy of formation: -1.52 eV per atom

The structure in POSCAR format:
```
SmAs
1.0
0.000 2.982 2.982
2.982 0.000 2.982
2.982 2.982 0.000
Sm As
1 1
Direct
0.000 0.000 0.000
0.500 0.500 0.500
```

***

Entry 6:
The following is a PBE-GGA calculation of SmAs after structural relaxation, from the Materials Project.

E_tot: -11.5 eV for the cell shown
Energy of formation: -1.07 eV per atom
Magnetization: 0.00 μB/f.u.

The structure in POSCAR format:
```
SmAs
1.0
3.849 0.000 0.000
0.000 3.849 0.000
0.000 0.000 3.210
Sm As
1 1
Direct
0.000 0.000 0.000
0.500 0.500 0.500
```

***

Entry 7:
The following is a PBE-GGA calculation of SmAs3 after structural relaxation, from the Materials Project.

E_tot: -20.8 eV for the cell shown
Energy of formation: -0.52 eV per atom
Magnetization: 0.00 μB/f.u.

The structure in POSCAR format:
```
SmAs3
1.0
-2.073 2.073 5.037
2.073 -2.073 5.037
2.073 2.073 -5.037
Sm As
1 3
Direct
0.000 0.000 0.000
0.250 0.750 0.500
0.500 0.500 0.000
0.750 0.250 0.500
```

***

Entry 8:
The following is a PBE-GGA calculation of SmAs3 after structural relaxation, from the Materials Project.

E_tot: -20.8 eV for the cell shown
Energy of formation: -0.53 eV per atom
Magnetization: 0.00 μB/f.u.

The structure in POSCAR format:
```
SmAs3
1.0
4.413 0.000 0.000
0.000 4.413 0.000
0.000 0.000 4.413
Sm As
1 3
Direct
0.000 0.000 0.000
0.000 0.500 0.500
0.500 0.000 0.500
0.500 0.500 0.000
```

***

Entry 9:
The following is a PBE-GGA calculation of SmTeAs after structural relaxation, from the Materials Project.

E_tot: -64.6 eV for the cell shown
Energy of formation: -1.21 eV per atom

The structure in POSCAR format:
```
SmTeAs
1.0
7.667 0.000 0.000
0.000 4.119 0.000
0.000 0.000 10.153
Sm Te As
4 4 4
Direct
0.228 0.250 0.158
0.272 0.750 0.658
0.728 0.250 0.342
0.772 0.750 0.842
0.089 0.250 0.851
0.411 0.750 0.351
0.589 0.250 0.649
0.911 0.750 0.149
0.095 0.250 0.461
0.405 0.750 0.961
0.595 0.250 0.039
0.905 0.750 0.539
```

***

Entry 10:
The following is a PBE-GGA calculation of Sr14Sn3As12 after structural relaxation, from the Materials Project.

E_tot: -121.1 eV for the cell shown
Energy of formation: -1.02 eV per atom

The structure in POSCAR format:
```
Sr14Sn3As12
1.0
6.606 3.814 5.817
-6.606 3.814 5.817
0.000 -7.628 5.817
Sr Sn As
14 3 12
Direct
0.008 0.008 0.008
0.020 0.878 0.381
0.143 0.628 0.781
0.144 0.260 0.596
0.260 0.596 0.144
0.371 0.873 0.516
0.381 0.020 0.878
0.516 0.371 0.873
0.596 0.144 0.260
0.628 0.781 0.143
0.781 0.143 0.628
0.794 0.794 0.794
0.873 0.516 0.371
0.878 0.381 0.020
0.217 0.217 0.217
0.443 0.443 0.443
0.607 0.607 0.607
0.080 0.949 0.691
0.193 0.575 0.466
0.195 0.310 0.936
0.310 0.936 0.195
0.462 0.704 0.833
0.466 0.193 0.575
0.575 0.466 0.193
0.691 0.080 0.949
0.704 0.833 0.462
0.833 0.462 0.704
0.936 0.195 0.310
0.949 0.691 0.080
```

***

Entry 11:
The following is a PBE-GGA calculation of Sr5Sn2As6 after structural relaxation, from the Materials Project.

E_tot: -112.2 eV for the cell shown
Energy of formation: -0.90 eV per atom

The structure in POSCAR format:
```
Sr5Sn2As6
1.0
12.599 0.000 0.000
0.000 14.250 0.000
0.000 0.000 4.326
Sr Sn As
10 4 12
Direct
0.000 0.000 0.000
0.121 0.243 0.000
0.131 0.567 0.000
0.369 0.067 0.000
0.379 0.743 0.000
0.500 0.500 0.000
0.621 0.257 0.000
0.631 0.933 0.000
0.869 0.433 0.000
0.879 0.757 0.000
0.214 0.895 0.500
0.286 0.395 0.500
0.714 0.605 0.500
0.786 0.105 0.500
0.076 0.398 0.500
0.131 0.804 0.000
0.170 0.079 0.500
0.330 0.579 0.500
0.369 0.304 0.000
0.424 0.898 0.500
0.576 0.102 0.500
0.631 0.696 0.000
0.670 0.421 0.500
0.830 0.921 0.500
0.869 0.196 0.000
0.924 0.602 0.500
```

***

Entry 12:
The following is a PBE-GGA calculation of ZnSnAs2 after structural relaxation, from the Materials Project.

E_tot: -15.2 eV for the cell shown
Energy of formation: -0.15 eV per atom
Magnetization: 0.00 μB/f.u.

The structure in POSCAR format:
```
ZnSnAs2
1.0
2.105 1.215 6.855
-2.105 1.215 6.855
0.000 -2.430 6.855
Zn Sn As
1 1 2
Direct
0.000 0.000 0.000
0.482 0.482 0.482
0.355 0.355 0.355
0.873 0.873 0.873
```

***

Entry 13:
The following is a PBE-GGA calculation of ZnSnAs2 after structural relaxation, from the Materials Project.

E_tot: -15.4 eV for the cell shown
Energy of formation: -0.19 eV per atom

The structure in POSCAR format:
```
ZnSnAs2
1.0
4.210 0.000 0.000
0.000 4.210 0.000
0.000 0.000 5.920
Zn Sn As
1 1 2
Direct
0.000 0.000 0.000
0.500 0.500 0.500
0.000 0.500 0.225
0.500 0.000 0.775
```

***

Entry 14:
The following is a PBE-GGA calculation of ZnSnAs2 after structural relaxation, from the Materials Project.

E_tot: -30.7 eV for the cell shown
Energy of formation: -0.19 eV per atom

The structure in POSCAR format:
```
ZnSnAs2
1.0
-2.974 2.974 5.966
2.974 -2.974 5.966
2.974 2.974 -5.966
Zn Sn As
2 2 4
Direct
0.000 0.000 0.000
0.750 0.250 0.500
0.250 0.750 0.500
0.500 0.500 0.000
0.101 0.125 0.476
0.375 0.899 0.024
0.649 0.625 0.524
0.875 0.351 0.976
```

***

Entry 15:
The following is a PBE-GGA calculation of Sr3As after structural relaxation, from the Materials Project.

E_tot: -22.1 eV for the cell shown
Energy of formation: -0.33 eV per atom
Magnetization: 0.00 μB/f.u.

The structure in POSCAR format:
```
Sr3As
1.0
7.566 0.000 0.000
-3.783 6.553 0.000
0.000 0.000 5.788
Sr As
6 2
Direct
0.176 0.351 0.250
0.176 0.824 0.250
0.351 0.176 0.750
0.649 0.824 0.250
0.824 0.176 0.750
0.824 0.649 0.750
0.333 0.667 0.750
0.667 0.333 0.250
```

***

Entry 16:
The following is a PBE-GGA calculation of Sr5As3 after structural relaxation, from the Materials Project.

E_tot: -61.8 eV for the cell shown
Energy of formation: -1.06 eV per atom

The structure in POSCAR format:
```
Sr5As3
1.0
9.047 0.000 0.000
-4.524 7.835 0.000
0.000 0.000 7.305
Sr As
10 6
Direct
0.000 0.255 0.250
0.000 0.745 0.750
0.255 0.000 0.250
0.255 0.255 0.750
0.333 0.667 0.000
0.333 0.667 0.500
0.667 0.333 0.000
0.667 0.333 0.500
0.745 0.000 0.750
0.745 0.745 0.250
0.000 0.391 0.750
0.000 0.609 0.250
0.391 0.000 0.750
0.391 0.391 0.250
0.609 0.000 0.250
0.609 0.609 0.750
```

***

Entry 17:
The following is a PBE-GGA calculation of Sr3As2 after structural relaxation, from the Materials Project.

E_tot: -18.0 eV for the cell shown
Energy of formation: -0.72 eV per atom
Magnetization: 0.00 μB/f.u.

The structure in POSCAR format:
```
Sr3As2
1.0
5.810 0.000 0.000
0.000 5.810 0.000
0.000 0.000 5.810
Sr As
3 2
Direct
0.000 0.000 0.500
0.000 0.500 0.000
0.500 0.000 0.000
0.000 0.000 0.000
0.500 0.500 0.500
```

***

Entry 18:
The following is a PBE-GGA calculation of Sr4As3 after structural relaxation, from the Materials Project.

E_tot: -229.1 eV for the cell shown
Energy of formation: -1.13 eV per atom

The structure in POSCAR format:
```
Sr4As3
1.0
12.285 0.000 0.000
0.000 12.935 0.000
0.000 0.000 11.051
Sr As
32 24
Direct
0.000 0.000 0.182
0.000 0.000 0.818
0.096 0.264 0.276
0.096 0.264 0.724
0.103 0.706 0.000
0.123 0.868 0.500
0.174 0.567 0.323
0.174 0.567 0.677
0.226 0.423 0.000
0.274 0.923 0.000
0.326 0.067 0.323
0.326 0.067 0.677
0.377 0.368 0.500
0.397 0.206 0.000
0.404 0.764 0.276
0.404 0.764 0.724
0.500 0.500 0.182
0.500 0.500 0.818
0.596 0.236 0.276
0.596 0.236 0.724
0.603 0.794 0.000
0.623 0.632 0.500
0.674 0.933 0.323
0.674 0.933 0.677
0.726 0.077 0.000
0.774 0.577 0.000
0.826 0.433 0.323
0.826 0.433 0.677
0.877 0.132 0.500
0.897 0.294 0.000
0.904 0.736 0.276
0.904 0.736 0.724
0.000 0.500 0.117
0.000 0.500 0.883
0.038 0.408 0.500
0.136 0.114 0.500
0.140 0.142 0.000
0.162 0.823 0.234
0.162 0.823 0.766
0.338 0.323 0.234
0.338 0.323 0.766
0.360 0.642 0.000
0.364 0.614 0.500
0.462 0.908 0.500
0.500 0.000 0.117
0.500 0.000 0.883
0.538 0.092 0.500
0.636 0.386 0.500
0.640 0.358 0.000
0.662 0.677 0.234
0.662 0.677 0.766
0.838 0.177 0.234
0.838 0.177 0.766
0.860 0.858 0.000
0.864 0.886 0.500
0.962 0.592 0.500
```

***

Entry 19:
The following is a PBE-GGA calculation of SrAs after structural relaxation, from the Materials Project.

E_tot: -51.0 eV for the cell shown
Energy of formation: -1.08 eV per atom

The structure in POSCAR format:
```
SrAs
1.0
8.363 0.000 0.000
-4.182 7.243 0.000
0.000 0.000 6.224
Sr As
6 6
Direct
0.000 0.352 0.000
0.000 0.687 0.500
0.313 0.313 0.500
0.352 0.000 0.000
0.648 0.648 0.000
0.687 0.000 0.500
0.000 0.000 0.204
0.000 0.000 0.796
0.333 0.667 0.291
0.333 0.667 0.709
0.667 0.333 0.291
0.667 0.333 0.709
```